# NaLiH4C2O5

NaLiH4C2O5 after structural relaxation (PBE, the Materials Project).

abc: 7.1399 8.3050 10.5044
angles: 109.56 99.41 90.42
Closest atoms and distances in Å follow each position.
Element x y z (fractional)
1 C 0.6037 0.2811 0.4426  1 H 1.11
2 H 0.6350 0.4127 0.5189  1 C 1.11
3 O 0.8816 0.7375 0.6821  1 C 1.27
4 Li 0.3059 0.1322 0.2054  4 O 1.93-2.03
5 H 0.7975 0.0308 0.1341  1 C 1.11
6 C 0.7230 0.2362 0.9248  1 H 1.11
7 C 0.7781 0.8883 0.0912  1 H 1.11
8 H 0.4384 0.5580 0.7300  1 O 1.01
9 O 0.8777 0.8487 0.5122  1 C 1.27
10 H 0.5485 0.4655 0.8269  1 O 0.98
11 O 0.7995 0.8117 0.1795  1 C 1.28
12 H 0.4515 0.5345 0.1731  1 O 0.98
13 Na 0.9101 0.1461 0.6473  6 O 2.39-2.52
14 C 0.2770 0.7638 0.0752  1 H 1.11
15 O 0.2005 0.1883 0.8205  1 C 1.28
16 H 0.0749 0.4338 0.2595  1 O 1.00
17 C 0.2219 0.1117 0.9088  1 H 1.11
18 H 0.1314 0.5352 0.1642  1 O 0.99
19 Li 0.2162 0.4388 0.8629  4 O 1.97-2.03
20 O 0.6214 0.1586 0.4890  1 C 1.27
21 H 0.7293 0.1984 0.0169  1 C 1.11
22 Li 0.6941 0.8678 0.7946  4 O 1.93-2.03
23 Li 0.7838 0.5612 0.1371  4 O 1.97-2.03
24 H 0.9658 0.6136 0.5005  1 C 1.12
25 O 0.5701 0.5432 0.2384  2 H 0.98-1.01
26 O 0.0462 0.5347 0.2297  2 H 0.99-1.00
27 O 0.1184 0.2625 0.3179  1 C 1.27
28 H 0.8686 0.4648 0.8358  1 O 0.99
29 C 0.3963 0.7189 0.5574  1 H 1.11
30 O 0.5497 0.2678 0.3177  1 C 1.27
31 H 0.2025 0.9692 0.8659  1 C 1.11
32 O 0.7379 0.8176 0.9632  1 C 1.26
33 O 0.6998 0.1181 0.8086  1 C 1.27
34 Na 0.5925 0.8614 0.3549  6 O 2.38-2.52
35 Na 0.4075 0.1386 0.6451  6 O 2.38-2.52
36 H 0.0342 0.3864 0.4995  1 C 1.12
37 O 0.2621 0.1824 0.0368  1 C 1.26
38 O 0.9538 0.4653 0.7703  2 H 0.99-1.00
39 C 0.0914 0.2675 0.4355  1 H 1.12
40 O 0.4503 0.7322 0.6823  1 C 1.27
41 O 0.2617 0.6033 0.0538  1 C 1.28
42 Na 0.0899 0.8539 0.3527  6 O 2.39-2.52
43 O 0.1223 0.1513 0.4878  1 C 1.27
44 O 0.7383 0.3967 0.9462  1 C 1.28
45 O 0.4299 0.4568 0.7616  2 H 0.98-1.01
46 H 0.3650 0.5873 0.4811  1 C 1.11
47 H 0.9251 0.5662 0.7405  1 O 1.00
48 H 0.2707 0.8016 0.9831  1 C 1.11
49 H 0.5616 0.4420 0.2700  1 O 1.01
50 O 0.3002 0.8819 0.1914  1 C 1.27
51 C 0.9086 0.7325 0.5645  1 H 1.12
52 O 0.3786 0.8414 0.5110  1 C 1.27

Values from the calculation:
The value obtained for the formation energy is -1512 meV per atom. As for the symmetry: P-1, No. 2. The raw total energy is -76.2 eV per formula unit. The calculated volume comes out at 577.7 Å³/cell. For the calculated density, the calculation gives 1.586 g/cm3.

# LiPH4CO3

LiPH4CO3 after structural relaxation (PBE, the Materials Project).

abc: 4.6859 9.4082 9.6225
angles: 83.76 90.00 90.00
Closest atoms and distances in Å follow each position.
Element x y z (fractional)
1 H 0.6799 0.2759 0.0244  1 O 1.01
2 H 0.1321 0.1667 0.2657  1 C 1.10
3 H 0.4815 0.0949 0.2969  1 C 1.10
4 O 0.8698 0.6427 0.5116  1 P 1.54, 1 H 1.66
5 C 0.7042 0.8602 0.6543  3 H 1.10
6 C 0.2042 0.1398 0.8457  3 H 1.10
7 P 0.6013 0.7020 0.5772  3 O 1.53-1.60
8 Li 0.6011 0.5087 0.8605  4 O 1.94-2.08
9 O 0.3832 0.7551 0.4547  1 H 1.01
10 O 0.5481 0.4054 0.3166  1 P 1.53
11 O 0.6302 0.6427 0.0116  1 P 1.54, 1 H 1.66
12 H 0.7119 0.9408 0.0733  1 C 1.10
13 P 0.3987 0.2980 0.4228  3 O 1.53-1.60
14 H 0.3201 0.7241 0.9756  1 O 1.01
15 H 0.3679 0.1667 0.7657  1 C 1.10
16 O 0.9519 0.4054 0.8166  1 P 1.53
17 H 0.9815 0.9051 0.2031  1 C 1.10
18 Li 0.3989 0.4913 0.1395  4 O 1.94-2.08
19 H 0.2881 0.0592 0.9267  1 C 1.10
20 H 0.2119 0.0592 0.4267  1 C 1.10
21 C 0.2958 0.1398 0.3457  3 H 1.10
22 O 0.1302 0.3573 0.4884  1 P 1.54, 1 H 1.66
23 H 0.5185 0.9051 0.7031  1 C 1.10
24 H 0.6321 0.8333 0.2343  1 C 1.10
25 O 0.3698 0.3573 0.9884  1 P 1.54, 1 H 1.66
26 Li 0.1011 0.4913 0.6395  4 O 1.94-2.08
27 H 0.1799 0.7241 0.4756  1 O 1.01
28 H 0.8679 0.8333 0.7343  1 C 1.10
29 P 0.1013 0.2980 0.9228  3 O 1.53-1.60
30 P 0.8987 0.7020 0.0772  3 O 1.53-1.60
31 O 0.0481 0.5946 0.1834  1 P 1.53
32 O 0.4519 0.5946 0.6834  1 P 1.53
33 H 0.0185 0.0949 0.7969  1 C 1.10
34 H 0.7881 0.9408 0.5733  1 C 1.10
35 Li 0.8989 0.5087 0.3605  4 O 1.94-2.08
36 C 0.7958 0.8602 0.1543  3 H 1.10
37 H 0.8201 0.2759 0.5244  1 O 1.01
38 O 0.1168 0.7551 0.9547  1 H 1.01
39 O 0.8832 0.2449 0.0453  1 H 1.01
40 O 0.6168 0.2449 0.5453  1 H 1.01

Values from the calculation:
The value obtained for the formation energy is -1465 meV per atom. As for the symmetry: P2_1/c, No. 14. The raw total energy is -57.6 eV per formula unit. The calculated volume comes out at 421.7 Å³/cell. For the calculated density, the calculation gives 1.606 g/cm3.

# MgH7C3NO6

MgH7C3NO6 after structural relaxation (PBE, the Materials Project).

abc: 12.8650 12.8650 8.1893
angles: 90.00 90.00 120.00
Closest atoms and distances in Å follow each position.
Element x y z (fractional)
1 H 0.7538 0.3578 0.9904  1 N 1.05
2 O 0.8385 0.5754 0.4415  1 C 1.28
3 H 0.2219 0.8375 0.3920  1 C 1.11
4 H 0.3333 0.6667 0.1586  1 N 1.02
5 Mg 0.3358 0.3313 0.5865  6 O 2.09-2.14
6 H 0.6667 0.3333 0.1549  1 N 1.02
7 Mg 0.0045 0.3358 0.0865  6 O 2.09-2.14
8 H 0.0272 0.0878 0.1835  1 N 1.05
9 O 0.1802 0.2396 0.4456  1 C 1.26
10 H 0.6422 0.3960 0.9904  1 N 1.05
11 O 0.7604 0.9407 0.4456  1 C 1.26
12 H 0.4964 0.5517 0.7970  1 C 1.11
13 H 0.7233 0.8457 0.8075  1 C 1.11
14 O 0.5098 0.6038 0.2297  1 C 1.27
15 O 0.4257 0.1494 0.2334  1 C 1.26
16 O 0.2441 0.1751 0.7369  1 C 1.28
17 H 0.0553 0.5036 0.7970  1 C 1.11
18 O 0.2631 0.8385 0.9415  1 C 1.28
19 H 0.6943 0.2731 0.4943  1 N 1.05
20 C 0.5289 0.4880 0.8200  1 H 1.11
21 C 0.1381 0.2914 0.3595  1 H 1.11
22 O 0.0940 0.4902 0.2297  1 C 1.27
23 C 0.1859 0.3735 0.8262  1 H 1.11
24 H 0.8776 0.7233 0.3075  1 C 1.11
25 O 0.7238 0.5743 0.2334  1 C 1.26
26 C 0.6265 0.8124 0.8262  1 H 1.11
27 H 0.3057 0.7269 0.9943  1 N 1.05
28 C 0.4880 0.9591 0.3200  1 H 1.11
29 O 0.0690 0.2441 0.2369  1 C 1.28
30 Mg 0.9955 0.6642 0.5865  6 O 2.09-2.14
31 H 0.3333 0.6667 0.6549  1 N 1.02
32 O 0.6038 0.0940 0.7297  1 C 1.27
33 O 0.9310 0.7559 0.7369  1 C 1.28
34 O 0.4902 0.3962 0.7297  1 C 1.27
35 H 0.1625 0.3845 0.3920  1 C 1.11
36 C 0.7086 0.8467 0.3595  1 H 1.11
37 O 0.1615 0.4246 0.9415  1 C 1.28
38 C 0.8619 0.7086 0.8595  1 H 1.11
39 O 0.0593 0.8198 0.4456  1 C 1.26
40 O 0.5754 0.7369 0.9415  1 C 1.28
41 C 0.8467 0.1381 0.8595  1 H 1.11
42 H 0.0878 0.0606 0.6835  1 N 1.05
43 O 0.8506 0.2762 0.2334  1 C 1.26
44 N 0.3333 0.6667 0.5298  4 H 1.02-1.05
45 C 0.1876 0.8141 0.8262  1 H 1.11
46 Mg 0.6687 0.0045 0.5865  6 O 2.09-2.14
47 C 0.5120 0.0409 0.8200  1 H 1.11
48 O 0.5743 0.8506 0.7334  1 C 1.26
49 C 0.8124 0.1859 0.3262  1 H 1.11
50 H 0.3960 0.7538 0.4904  1 N 1.05
51 H 0.9122 0.9394 0.1835  1 N 1.05
52 H 0.0000 0.0000 0.0192  1 N 1.02
53 C 0.4711 0.5120 0.3200  1 H 1.11
54 O 0.3962 0.9060 0.2297  1 C 1.27
55 O 0.2762 0.4257 0.7334  1 C 1.26
56 H 0.9728 0.9122 0.6835  1 N 1.05
57 H 0.8457 0.1224 0.3075  1 C 1.11
58 O 0.2396 0.0593 0.9456  1 C 1.26
59 H 0.5788 0.3057 0.4943  1 N 1.05
60 H 0.0606 0.9728 0.1835  1 N 1.05
61 H 0.2462 0.6422 0.4904  1 N 1.05
62 C 0.9591 0.4711 0.8200  1 H 1.11
63 H 0.6040 0.2462 0.9904  1 N 1.05
64 C 0.1533 0.8619 0.3595  1 H 1.11
65 H 0.1543 0.8776 0.8075  1 C 1.11
66 H 0.7781 0.1625 0.8920  1 C 1.11
67 O 0.1494 0.7238 0.7334  1 C 1.26
68 C 0.2914 0.1533 0.8595  1 H 1.11
69 C 0.3735 0.1876 0.3262  1 H 1.11
70 O 0.6025 0.5122 0.9376  1 C 1.28
71 H 0.7269 0.4212 0.4943  1 N 1.05
72 Mg 0.3313 0.9955 0.0865  6 O 2.09-2.14
73 O 0.3975 0.4878 0.4376  1 C 1.28
74 H 0.0000 0.0000 0.5192  1 N 1.02
75 Mg 0.6642 0.6687 0.0865  6 O 2.09-2.14
76 H 0.5036 0.4483 0.2970  1 C 1.11
77 C 0.0409 0.5289 0.3200  1 H 1.11
78 N 0.3333 0.6667 0.0336  4 H 1.02-1.05
79 H 0.4212 0.6943 0.9943  1 N 1.05
80 O 0.5122 0.9097 0.4376  1 C 1.28
81 H 0.3845 0.2219 0.8920  1 C 1.11
82 H 0.6155 0.7781 0.3920  1 C 1.11
83 H 0.4483 0.9447 0.7970  1 C 1.11
84 H 0.9394 0.0272 0.6835  1 N 1.05
85 O 0.0903 0.6025 0.4376  1 C 1.28
86 O 0.9407 0.1802 0.9456  1 C 1.26
87 H 0.1224 0.2767 0.8075  1 C 1.11
88 H 0.5517 0.0553 0.2970  1 C 1.11
89 O 0.9060 0.5098 0.7297  1 C 1.27
90 H 0.9447 0.4964 0.2970  1 C 1.11
91 N 0.6667 0.3333 0.0298  4 H 1.02-1.05
92 O 0.7559 0.8249 0.2369  1 C 1.28
93 O 0.7369 0.1615 0.4415  1 C 1.28
94 H 0.2731 0.5788 0.9943  1 N 1.05
95 C 0.8141 0.6265 0.3262  1 H 1.11
96 O 0.4878 0.0903 0.9376  1 C 1.28
97 O 0.8198 0.7604 0.9456  1 C 1.26
98 H 0.3578 0.6040 0.4904  1 N 1.05
99 N 0.0000 0.0000 0.1442  4 H 1.02-1.05
100 N 0.6667 0.3333 0.5336  4 H 1.02-1.05
101 O 0.9097 0.3975 0.9376  1 C 1.28
102 O 0.8249 0.0690 0.7369  1 C 1.28
103 O 0.1751 0.9310 0.2369  1 C 1.28
104 H 0.8375 0.6155 0.8920  1 C 1.11
105 H 0.6667 0.3333 0.6586  1 N 1.02
106 H 0.2767 0.1543 0.3075  1 C 1.11
107 N 0.0000 0.0000 0.6442  4 H 1.02-1.05
108 O 0.4246 0.2631 0.4415  1 C 1.28

Values from the calculation:
The value obtained for the formation energy is -1271 meV per atom. As for the symmetry: P6_3, No. 173. The raw total energy is -109.8 eV per formula unit. The calculated volume comes out at 1173.8 Å³/cell. For the calculated density, the calculation gives 1.506 g/cm3.

# MgH8C4N6O4

MgH8C4N6O4 after structural relaxation (PBE, the Materials Project).

abc: 7.3676 7.4849 9.8170
angles: 80.82 90.00 90.00
Closest atoms and distances in Å follow each position.
Element x y z (fractional)
1 H 0.2439 0.9860 0.7887  1 O 0.99
2 H 0.6920 0.8314 0.9243  1 O 1.00
3 C 0.5228 0.6477 0.1284  2 N 1.18-1.29
4 H 0.1892 0.8506 0.4226  1 O 0.99
5 C 0.9618 0.4030 0.8062  2 N 1.18-1.30
6 H 0.7561 0.0140 0.2113  1 O 0.99
7 H 0.8596 0.7659 0.8456  1 O 0.99
8 N 0.5268 0.2544 0.3660  1 C 1.18
9 O 0.1930 0.1249 0.1245  2 H 0.99-1.00
10 H 0.3108 0.8506 0.9226  1 O 0.99
11 N 0.0004 0.7350 0.5183  1 C 1.18
12 N 0.5570 0.5726 0.2538  2 C 1.29-1.30
13 H 0.1920 0.1686 0.5757  1 O 1.00
14 C 0.4772 0.3523 0.8716  2 N 1.18-1.29
15 O 0.3070 0.1249 0.6245  2 H 0.99-1.00
16 N 0.9732 0.2544 0.8660  1 C 1.18
17 C 0.9772 0.6477 0.6284  2 N 1.18-1.29
18 H 0.8080 0.8314 0.4243  1 O 1.00
19 O 0.6930 0.8751 0.3755  2 H 0.99-1.00
20 N 0.0570 0.4274 0.2462  2 C 1.29-1.30
21 C 0.0382 0.5970 0.1938  2 N 1.18-1.30
22 H 0.2561 0.9860 0.2887  1 O 0.99
23 N 0.4996 0.7350 0.0183  1 C 1.18
24 N 0.0268 0.7456 0.1340  1 C 1.18
25 H 0.6892 0.1494 0.0774  1 O 0.99
26 N 0.4430 0.4274 0.7462  2 C 1.29-1.30
27 N 0.5004 0.2650 0.9817  1 C 1.18
28 O 0.7049 0.0803 0.6206  2 H 0.99
29 O 0.7951 0.0803 0.1206  2 H 0.99
30 O 0.2951 0.9197 0.3794  2 H 0.99
31 H 0.3080 0.1686 0.0757  1 O 1.00
32 C 0.4618 0.5970 0.6938  2 N 1.18-1.30
33 C 0.5382 0.4030 0.3062  2 N 1.18-1.30
34 H 0.1404 0.2341 0.1544  1 O 0.99
35 H 0.3596 0.2341 0.6544  1 O 0.99
36 O 0.2049 0.9197 0.8794  2 H 0.99
37 O 0.8070 0.8751 0.8755  2 H 0.99-1.00
38 H 0.8108 0.1494 0.5774  1 O 0.99
39 N 0.9996 0.2650 0.4817  1 C 1.18
40 H 0.7439 0.0140 0.7113  1 O 0.99
41 N 0.9430 0.5726 0.7538  2 C 1.29-1.30
42 Mg 0.5000 0.0000 0.5000  4 O 2.07-2.18, 2 N 2.14
43 H 0.6404 0.7659 0.3456  1 O 0.99
44 C 0.0228 0.3523 0.3716  2 N 1.18-1.29
45 Mg 0.0000 0.0000 0.0000  4 O 2.07-2.18, 2 N 2.14
46 N 0.4732 0.7456 0.6340  1 C 1.18

Values from the calculation:
The value obtained for the formation energy is -661 meV per atom. As for the symmetry: P2_1/c, No. 14. The raw total energy is -147.9 eV per formula unit. The calculated volume comes out at 534.4 Å³/cell. For the calculated density, the calculation gives 1.420 g/cm3.

Question: Look up the formation energy of the second one.
Answer: -1465 meV per atom

Question: What is the calculated volume in the third record?
Answer: 1173.8 Å³/cell

Question: Look up the calculated density of the fourth one.
Answer: 1.420 g/cm3

Question: What is the formula in the third record?
Answer: MgH7C3NO6